No. 1
The following is a PBE with a Hubbard U calculation of MgV2CuO6 after structural relaxation, from the Materials Project.

Values from the calculation:
E above lowest polymorph: 0 meV/atom
E_form: -2.24 eV per atom
mass density: 4.002 Mg/m³

Unit cell a=9.5894 b=3.9318 c=6.2977 alpha=90.00 beta=92.93 gamma=90.00
Space group Cm (No. 8)
Asymmetric unit:
Mg 0.0000 0.0000 0.0000 x2
V 0.0179 0.0000 0.5277 x2
V 0.1819 0.5000 0.2584 x2
Cu 0.1928 0.5000 0.7903 x2
O 0.0597 0.5000 0.0132 x2
O 0.0607 0.5000 0.4919 x2
O 0.1429 0.0000 0.2790 x2
O 0.1588 0.0000 0.7590 x2
O 0.3650 0.5000 0.2538 x2
O 0.3819 0.5000 0.7061 x2

=====

No. 2
The following is a PBE with a Hubbard U calculation of MgV4Cu3O12 after structural relaxation, from the Materials Project.

Values from the calculation:
E above lowest polymorph: 185 meV/atom
E_form: -1.80 eV per atom
mass density: 4.744 Mg/m³

Unit cell a=6.3395 b=6.4568 c=6.6190 alpha=110.69 beta=107.85 gamma=107.74
Space group P1 (No. 1)
Asymmetric unit:
Mg 0.0000 0.0000 0.0000 x1
V 0.4588 0.8743 0.8523 x1
V 0.4617 0.3721 0.3407 x1
V 0.9656 0.3810 0.8486 x1
V 0.9689 0.8809 0.3379 x1
Cu 0.4674 0.3794 0.8461 x1
Cu 0.8848 0.7273 0.6115 x1
Cu 0.9720 0.3764 0.3458 x1
O 0.1461 0.3668 0.1486 x1
O 0.1596 0.7502 0.5374 x1
O 0.2753 0.5613 0.8543 x1
O 0.2848 0.1913 0.4524 x1
O 0.3551 0.0612 0.0411 x1
O 0.5976 0.7046 0.6723 x1
O 0.6389 0.5583 0.2184 x1
O 0.6619 0.1988 0.8344 x1
O 0.7810 0.0079 0.1602 x1
O 0.7898 0.3889 0.5405 x1
O 0.9650 0.0581 0.6425 x1
O 0.9874 0.7060 0.0653 x1

=====

No. 3
The following is a PBE with a Hubbard U calculation of Mg14VCuO16 after structural relaxation, from the Materials Project.

Values from the calculation:
E above lowest polymorph: 8 meV/atom
E_form: -2.85 eV per atom
mass density: 3.744 Mg/m³

Unit cell a=8.6116 b=8.6116 c=4.2506 alpha=90.00 beta=90.00 gamma=90.00
Space group P4/mmm (No. 123)
Asymmetric unit:
Mg 0.0000 0.2476 0.0000 x4
Mg 0.0000 0.5000 0.5000 x2
Mg 0.2453 0.5000 0.0000 x4
Mg 0.2460 0.2460 0.5000 x4
V 0.5000 0.5000 0.5000 x1
Cu 0.0000 0.0000 0.5000 x1
O 0.0000 0.0000 0.0000 x1
O 0.0000 0.2606 0.5000 x4
O 0.0000 0.5000 0.0000 x2
O 0.2504 0.2504 0.0000 x4
O 0.2514 0.5000 0.5000 x4
O 0.5000 0.5000 0.0000 x1